The following is a GGA-PBE calculation of a relaxed Ba2HoTaO6 crystal, from the Materials Project.

Results
E_form ... -3.592 eV/atom
Raw total energy ... -8.18 eV per atom
M_tot ... 0.0 μB/f.u.

Cell: 8.519 8.519 8.519 Å, 90.00 90.00 90.00°
Space group Fm-3m (No. 225)
Unique sites:
Ba 0.250 0.250 0.250 x8
Ho 0.000 0.000 0.000 x4
Ta 0.000 0.000 0.500 x4
O 0.000 0.000 0.264 x24


The following is a GGA-PBE calculation of a relaxed Ba5Ho8Zn4O21 crystal, from the Materials Project.

Results
E_form ... -3.260 eV/atom
Raw total energy ... -6.96 eV per atom
M_tot ... 0.0 μB/f.u.

Cell: 13.856 13.856 5.740 Å, 90.00 90.00 90.00°
Space group I4/m (No. 87)
Unique sites:
Ba 0.000 0.000 0.000 x2
Ba 0.035 0.360 0.500 x8
Ho 0.089 0.858 0.500 x8
Ho 0.168 0.247 0.000 x8
Zn 0.041 0.750 0.000 x8
O 0.000 0.000 0.500 x2
O 0.038 0.372 0.000 x8
O 0.048 0.178 0.250 x16
O 0.149 0.743 0.249 x16


The following is a GGA-PBE calculation of a relaxed BaHo2S4 crystal, from the Materials Project.

Results
E_form ... -2.425 eV/atom
Raw total energy ... -6.08 eV per atom

Cell: 12.283 4.039 14.526 Å, 90.00 90.00 90.00°
Space group Pnma (No. 62)
Unique sites:
Ba 0.244 0.250 0.161 x4
Ho 0.069 0.250 0.391 x4
Ho 0.078 0.250 0.898 x4
S 0.022 0.750 0.783 x4
S 0.079 0.250 0.576 x4
S 0.124 0.750 0.022 x4
S 0.208 0.750 0.337 x4


The following is a GGA-PBE calculation of a relaxed KBa2I5 crystal, from the Materials Project.

Results
E_form ... -1.963 eV/atom
Raw total energy ... -3.30 eV per atom

Cell: 10.548 9.451 14.959 Å, 90.00 90.18 90.00°
Space group P2_1/c (No. 14)
Unique sites:
K 0.010 0.014 0.319 x4
Ba 0.249 0.080 0.008 x4
Ba 0.499 0.024 0.320 x4
I 0.042 0.667 0.407 x4
I 0.266 0.197 0.780 x4
I 0.277 0.040 0.502 x4
I 0.277 0.666 0.685 x4
I 0.454 0.665 0.404 x4


The following is a GGA-PBE calculation of a relaxed KBa2IO6 crystal, from the Materials Project.

Results
E_form ... -2.138 eV/atom
Raw total energy ... -5.34 eV per atom
M_tot ... 0.0 μB/f.u.

Cell: 8.746 8.746 8.746 Å, 90.00 90.00 90.00°
Space group Fm-3m (No. 225)
Unique sites:
K 0.000 0.000 0.000 x4
Ba 0.250 0.250 0.250 x8
I 0.000 0.000 0.500 x4
O 0.000 0.000 0.282 x24


The following is a GGA-PBE calculation of a relaxed Ba9La5I33 crystal, from the Materials Project.

Results
E_form ... -1.925 eV/atom
Raw total energy ... -3.62 eV per atom
M_tot ... 0.0 μB/f.u.

Cell: 13.168 13.211 25.173 Å, 99.67 99.79 108.83°
Space group P-1 (No. 2)
Unique sites:
Ba 0.026 0.479 0.306 x2
Ba 0.178 0.899 0.042 x2
Ba 0.179 0.406 0.535 x2
Ba 0.251 0.372 0.123 x2
Ba 0.259 0.859 0.622 x2
Ba 0.361 0.267 0.340 x2
Ba 0.366 0.762 0.838 x2
Ba 0.422 0.256 0.934 x2
Ba 0.422 0.754 0.429 x2
La 0.037 0.964 0.813 x2
La 0.119 0.455 0.914 x2
La 0.125 0.956 0.426 x2
La 0.320 0.358 0.735 x2
La 0.356 0.852 0.234 x2
I 0.021 0.381 0.026 x2
I 0.028 0.890 0.535 x2
I 0.049 0.106 0.076 x2
I 0.053 0.606 0.573 x2
I 0.055 0.315 0.761 x2
I 0.068 0.061 0.321 x2
I 0.082 0.615 0.839 x2
I 0.103 0.197 0.911 x2
I 0.121 0.709 0.420 x2
I 0.144 0.202 0.621 x2
I 0.148 0.290 0.237 x2
I 0.154 0.685 0.128 x2
I 0.157 0.816 0.741 x2
I 0.205 0.002 0.194 x2
I 0.241 0.546 0.694 x2
I 0.248 0.141 0.789 x2
I 0.251 0.965 0.906 x2
I 0.258 0.462 0.406 x2
I 0.272 0.640 0.284 x2
I 0.298 0.214 0.470 x2
I 0.311 0.724 0.976 x2
I 0.320 0.956 0.356 x2
I 0.339 0.484 0.863 x2
I 0.342 0.462 0.013 x2
I 0.353 0.970 0.516 x2
I 0.375 0.182 0.063 x2
I 0.386 0.684 0.561 x2
I 0.425 0.145 0.678 x2
I 0.439 0.424 0.626 x2
I 0.447 0.930 0.127 x2
I 0.450 0.654 0.175 x2
I 0.466 0.381 0.225 x2
I 0.480 0.879 0.726 x2


The following is a GGA-PBE calculation of a relaxed BaLaI4 crystal, from the Materials Project.

Results
E_form ... -1.870 eV/atom
Raw total energy ... -3.78 eV per atom

Cell: 10.515 15.304 7.564 Å, 90.00 122.85 90.00°
Space group C2/c (No. 15)
Unique sites:
Ba 0.000 0.134 0.250 x4
La 0.000 0.499 0.250 x4
I 0.116 0.327 0.585 x8
I 0.205 0.063 0.780 x8


The following is a GGA-PBE calculation of a relaxed Ba2LiIO6 crystal, from the Materials Project.

Results
E_form ... -2.235 eV/atom
Raw total energy ... -5.52 eV per atom
M_tot ... 0.0 μB/f.u.

Cell: 8.308 8.308 8.308 Å, 90.00 90.00 90.00°
Space group Fm-3m (No. 225)
Unique sites:
Ba 0.250 0.250 0.250 x8
Li 0.000 0.000 0.000 x4
I 0.000 0.000 0.500 x4
O 0.000 0.000 0.270 x24


The following is a GGA-PBE calculation of a relaxed BaIO5 crystal, from the Materials Project.

Results
E_form ... -0.898 eV/atom
Raw total energy ... -4.81 eV per atom
M_tot ... 1.0 μB/f.u.
Energy above the most stable polymorph in this dataset ... 0.000 eV/atom

Cell: 4.844 7.988 8.020 Å, 111.33 90.94 104.79°
Space group P-1 (No. 2)
Unique sites:
Ba 0.196 0.339 0.099 x2
I 0.154 0.302 0.564 x2
O 0.228 0.972 0.832 x2
O 0.236 0.496 0.814 x2
O 0.278 0.871 0.204 x2
O 0.420 0.748 0.160 x2
O 0.456 0.917 0.792 x2


The following is a GGA-PBE calculation of a relaxed BaIO5 crystal, from the Materials Project.

Results
E_form ... -0.898 eV/atom
Raw total energy ... -4.81 eV per atom
M_tot ... 3.0 μB/f.u.
Energy above the most stable polymorph in this dataset ... 0.001 eV/atom

Cell: 4.934 7.933 8.088 Å, 65.39 88.98 81.51°
Space group P-1 (No. 2)
Unique sites:
Ba 0.222 0.148 0.106 x2
I 0.200 0.221 0.568 x2
O 0.216 0.647 0.164 x2
O 0.218 0.556 0.830 x2
O 0.230 0.025 0.821 x2
O 0.395 0.750 0.166 x2
O 0.433 0.636 0.794 x2


The following is a GGA-PBE calculation of a relaxed BaIO5 crystal, from the Materials Project.

Results
E_form ... -0.800 eV/atom
Raw total energy ... -4.71 eV per atom
M_tot ... 1.0 μB/f.u.
Energy above the most stable polymorph in this dataset ... 0.099 eV/atom

Cell: 5.469 6.983 7.624 Å, 79.89 88.81 87.81°
Space group P-1 (No. 2)
Unique sites:
Ba 0.209 0.209 0.070 x2
I 0.190 0.190 0.582 x2
O 0.161 0.002 0.801 x2
O 0.200 0.551 0.800 x2
O 0.222 0.681 0.172 x2
O 0.385 0.814 0.162 x2
O 0.415 0.620 0.783 x2


The following is a GGA-PBE calculation of a relaxed BaIO5 crystal, from the Materials Project.

Results
E_form ... -0.638 eV/atom
Raw total energy ... -4.66 eV per atom
M_tot ... 1.0 μB/f.u.
Energy above the most stable polymorph in this dataset ... 0.260 eV/atom

Cell: 5.874 7.096 7.376 Å, 88.80 87.92 81.49°
Space group P-1 (No. 2)
Unique sites:
Ba 0.219 0.215 0.048 x2
I 0.192 0.211 0.512 x2
O 0.190 0.556 0.871 x2
O 0.232 0.708 0.230 x2
O 0.242 0.871 0.858 x2
O 0.344 0.682 0.844 x2
O 0.379 0.822 0.224 x2